A relaxed KUSiHO6 crystal. Source: the Materials Project database, functional GGA-PBE.

Unit cell a=6.7351 b=7.1013 c=6.7610 alpha=90.00 beta=105.24 gamma=90.00
Last column: nearest neighbours and their distance in Å.
Space group P2_1 (No. 4)
One atom of each set of equivalent atoms:
K 0.2014 0.0000 0.0777 (multiplicity 2)  5 O 2.72-2.97
U 0.1409 0.3296 0.5187 (multiplicity 2)  2 O 1.85
Si 0.3517 0.8289 0.5924 (multiplicity 2)  4 O 1.62-1.67
H 0.4175 0.3877 0.0926 (multiplicity 2)  1 O 0.98
O 0.0847 0.3362 0.2358 (multiplicity 2)  1 U 1.85
O 0.1786 0.3174 0.7994 (multiplicity 2)  1 U 1.85
O 0.1870 0.0027 0.5134 (multiplicity 2)  1 Si 1.65
O 0.1911 0.6506 0.5422 (multiplicity 2)  1 Si 1.64
O 0.4472 0.8335 0.8462 (multiplicity 2)  1 H 0.98
O 0.4723 0.3255 0.5313 (multiplicity 2)  1 Si 1.62

Summary:
calculated volume	15.600	Å³/atom
VASP energy	-7.669	eV/atom